No. 1
Na2NpC2O8 | PBE | relaxed

- ΔE_f: -2033 meV/atom
- M_tot: 2.068 μB/f.u.

a b c (Å): 6.0554 18.3887 6.9091
angles (deg): 90.00 91.65 90.00
Closest atoms and distances in Å follow each position.
Space group P2_1/c (No. 14)
One atom of each set of equivalent atoms:
1 Na 0.1174 0.1809 0.0417 [4 per cell]  5 O 2.39-2.66
2 Na 0.3369 0.5862 0.5221 [4 per cell]  5 O 2.27-2.37
3 Np 0.0606 0.5924 0.9789 [4 per cell]  3 O 1.84-2.03
4 C 0.4016 0.7401 0.9749 [4 per cell]  2 O 1.25-1.28
5 C 0.4498 0.1720 0.5402 [4 per cell]  2 O 1.26-1.27
6 O 0.0207 0.5985 0.7146 [4 per cell]  1 Np 1.84
7 O 0.1126 0.6051 0.2398 [4 per cell]  1 Np 1.84
8 O 0.1856 0.0199 0.4760 [4 per cell]  2 Np 2.03-2.20
9 O 0.1940 0.7272 0.9699 [4 per cell]  1 C 1.28
10 O 0.2432 0.1811 0.5110 [4 per cell]  1 C 1.27
11 O 0.3302 0.0367 0.0521 [4 per cell]  2 Na 2.27-2.28
12 O 0.4514 0.6133 0.9179 [4 per cell]  1 C 1.26
13 O 0.4944 0.6991 0.4888 [4 per cell]  1 C 1.25



No. 2
Rb2LiBiF6 | PBE | relaxed

- ΔE_f: -2934 meV/atom
- M_tot: 0.000 μB/f.u.

a b c (Å): 8.8532 8.8532 8.8532
angles (deg): 90.00 90.00 90.00
Closest atoms and distances in Å follow each position.
Space group Fm-3m (No. 225)
One atom of each set of equivalent atoms:
1 Rb 0.2500 0.2500 0.2500 [8 per cell]  12 F 3.13
2 Li 0.0000 0.0000 0.0000 [4 per cell]  6 F 2.15
3 Bi 0.0000 0.0000 0.5000 [4 per cell]  6 F 2.28
4 F 0.0000 0.0000 0.2425 [24 per cell]  1 Li 2.15, 1 Bi 2.28



No. 3
Ce5Ge2Pd | PBE | relaxed

- ΔE_f: -528 meV/atom
- E above lowest polymorph: 0.0 meV/atom
- M_tot: 0.295 μB/f.u.

a b c (Å): 6.2300 15.1771 8.8213
angles (deg): 90.00 90.00 90.00
Closest atoms and distances in Å follow each position.
Space group Amm2 (No. 38)
One atom of each set of equivalent atoms:
1 Ce 0.0000 0.0000 0.0000 [2 per cell]  5 Ge 2.99-3.31
2 Ce 0.0000 0.1287 0.6210 [4 per cell]  3 Ge 2.97-3.13, 2 Pd 3.32
3 Ce 0.2185 0.1642 0.2467 [8 per cell]  1 Ce 2.72, 1 Ge 3.03
4 Ce 0.5000 0.0000 0.4832 [2 per cell]  2 Pd 2.99, 3 Ge 3.14-3.28
5 Ce 0.5000 0.1333 0.8717 [4 per cell]  2 Pd 2.98-3.07, 3 Ge 3.03-3.30
6 Ge 0.0000 0.0000 0.3673 [2 per cell]  9 Ce 2.97-3.28
7 Ge 0.0000 0.1937 0.9399 [4 per cell]  9 Ce 2.98-3.30
8 Ge 0.5000 0.0000 0.1274 [2 per cell]  9 Ce 3.03-3.31
9 Pd 0.5000 0.1931 0.5501 [4 per cell]  9 Ce 2.98-3.32



No. 4
Ac3Mo | PBE | relaxed

- ΔE_f: 692 meV/atom
- M_tot: 1.573 μB/f.u.

a b c (Å): 5.0477 5.0477 10.7997
angles (deg): 90.00 90.00 90.00
Closest atoms and distances in Å follow each position.
Space group I4/mmm (No. 139)
One atom of each set of equivalent atoms:
1 Ac 0.0000 0.0000 0.0000 [2 per cell]  4 Mo 3.57, 8 Ac 3.70
2 Ac 0.0000 0.5000 0.2500 [4 per cell]  8 Ac 3.57-3.70, 4 Mo 3.70
3 Mo 0.0000 0.0000 0.5000 [2 per cell]  12 Ac 3.57-3.70



No. 5
ThSi2Pt2 | PBE | relaxed

- ΔE_f: -1129 meV/atom

a b c (Å): 4.2777 4.2777 9.9040
angles (deg): 90.00 90.00 90.00
Closest atoms and distances in Å follow each position.
Space group P4/nmm (No. 129, origin choice 2)
One atom of each set of equivalent atoms:
1 Th 0.2500 0.2500 0.2492 [2 per cell]  8 Si 3.24-3.27, 8 Pt 3.28-3.29
2 Si 0.2500 0.2500 0.6341 [2 per cell]  5 Pt 2.44-2.52
3 Si 0.2500 0.7500 0.0000 [2 per cell]  4 Pt 2.44
4 Pt 0.2500 0.2500 0.8808 [2 per cell]  5 Si 2.44
5 Pt 0.2500 0.7500 0.5000 [2 per cell]  4 Si 2.52



No. 6
Mg16Si8HO32 | PBE | relaxed

- ΔE_f: -3030 meV/atom
- E above lowest polymorph: 86.6 meV/atom
- M_tot: 0.000 μB/f.u.

a b c (Å): 8.2100 8.2106 8.2327
angles (deg): 89.57 89.86 89.89
Closest atoms and distances in Å follow each position.
Space group P1 (No. 1)
One atom of each set of equivalent atoms:
1 Mg 0.0000 0.0000 0.0000 [1 per cell]  6 O 2.10-2.12
2 Mg 0.9995 0.2414 0.7451 [1 per cell]  5 O 2.06-2.10
3 Mg 0.0007 0.7497 0.2500 [1 per cell]  6 O 2.08-2.19
4 Mg 0.2516 0.2459 0.9994 [1 per cell]  6 O 2.09-2.11
5 Mg 0.2521 0.9992 0.7490 [1 per cell]  6 O 2.09-2.12
6 Mg 0.2535 0.7472 0.4970 [1 per cell]  6 O 2.08-2.15
7 Mg 0.2545 0.4976 0.2507 [1 per cell]  6 O 2.08-2.13
8 Mg 0.4998 0.9980 0.4986 [1 per cell]  6 O 2.10-2.11
9 Mg 0.5007 0.2476 0.2487 [1 per cell]  6 O 2.10-2.11
10 Mg 0.5014 0.7491 0.7491 [1 per cell]  6 O 2.09-2.11
11 Mg 0.5028 0.4970 0.0000 [1 per cell]  6 O 2.09-2.12
12 Mg 0.7416 0.4951 0.7468 [1 per cell]  6 O 2.06-2.24
13 Mg 0.7471 0.2460 0.4996 [1 per cell]  6 O 2.09-2.12
14 Mg 0.7492 0.7484 0.9998 [1 per cell]  6 O 2.10-2.12
15 Mg 0.7498 0.9981 0.2479 [1 per cell]  6 O 2.10-2.11
16 Mg 0.9956 0.4816 0.4728 [1 per cell]  5 O 1.97-2.19, 1 H 2.01
17 Si 0.1261 0.1210 0.3732 [1 per cell]  4 O 1.69-1.70
18 Si 0.1386 0.6339 0.8909 [1 per cell]  4 O 1.65-1.78
19 Si 0.3735 0.3733 0.6238 [1 per cell]  4 O 1.69-1.70
20 Si 0.3763 0.8736 0.1242 [1 per cell]  4 O 1.69-1.70
21 Si 0.6252 0.1228 0.8740 [1 per cell]  4 O 1.69-1.70
22 Si 0.6251 0.6230 0.3737 [1 per cell]  4 O 1.69-1.70
23 Si 0.8727 0.8749 0.6263 [1 per cell]  4 O 1.67-1.72
24 Si 0.8748 0.3724 0.1193 [1 per cell]  4 O 1.69
25 H 0.0086 0.6211 0.6721 [1 per cell]  1 O 1.03
26 O 0.0054 0.2388 0.4921 [1 per cell]  1 Si 1.70
27 O 0.0065 0.0031 0.2563 [1 per cell]  1 Si 1.69
28 O 0.0074 0.7449 0.9976 [1 per cell]  1 Si 1.66
29 O 0.0126 0.5255 0.7530 [1 per cell]  1 H 1.03
30 O 0.2438 0.0024 0.4934 [1 per cell]  1 Si 1.69
31 O 0.2436 0.2418 0.2552 [1 per cell]  1 Si 1.69
32 O 0.2474 0.5025 0.9973 [1 per cell]  1 Si 1.65
33 O 0.2470 0.7444 0.7581 [1 per cell]  1 Si 1.67
34 O 0.2520 0.4918 0.5053 [1 per cell]  1 Si 1.70
35 O 0.2533 0.2556 0.7433 [1 per cell]  1 Si 1.69
36 O 0.2563 0.7537 0.2424 [1 per cell]  1 Si 1.70
37 O 0.2563 0.9915 0.0049 [1 per cell]  1 Si 1.69
38 O 0.4911 0.4921 0.7424 [1 per cell]  1 Si 1.69
39 O 0.4927 0.2547 0.5054 [1 per cell]  1 Si 1.69
40 O 0.4937 0.7538 0.0052 [1 per cell]  1 Si 1.69
41 O 0.4943 0.9917 0.2427 [1 per cell]  1 Si 1.69
42 O 0.5071 0.2418 0.9924 [1 per cell]  1 Si 1.69
43 O 0.5069 0.7413 0.4931 [1 per cell]  1 Si 1.69
44 O 0.5076 0.0048 0.7547 [1 per cell]  1 Si 1.69
45 O 0.5076 0.5041 0.2555 [1 per cell]  1 Si 1.69
46 O 0.7449 0.0041 0.9925 [1 per cell]  1 Si 1.69
47 O 0.7453 0.2422 0.7544 [1 per cell]  1 Si 1.70
48 O 0.7451 0.5028 0.4927 [1 per cell]  1 Si 1.70
49 O 0.7458 0.7415 0.2560 [1 per cell]  1 Si 1.69
50 O 0.7574 0.4926 0.0007 [1 per cell]  1 Si 1.69
51 O 0.7569 0.7522 0.7439 [1 per cell]  1 Si 1.69
52 O 0.7570 0.9909 0.5043 [1 per cell]  1 Si 1.67
53 O 0.7579 0.2549 0.2418 [1 per cell]  1 Si 1.69
54 O 0.9944 0.9900 0.7428 [1 per cell]  1 Si 1.68
55 O 0.9949 0.2567 0.9993 [1 per cell]  1 Si 1.69
56 O 0.9952 0.4923 0.2341 [1 per cell]  1 Si 1.69
57 O 0.9945 0.7446 0.5161 [1 per cell]  1 H 1.63, 1 Si 1.72



No. 7
Pr3CuGeS7 | PBE | relaxed

- ΔE_f: -1754 meV/atom
- M_tot: 0.000 μB/f.u.

a b c (Å): 10.2669 10.2669 5.8939
angles (deg): 90.00 90.00 120.00
Closest atoms and distances in Å follow each position.
Space group P6_3 (No. 173)
One atom of each set of equivalent atoms:
1 Pr 0.1274 0.3565 0.0000 [6 per cell]  8 S 2.86-3.19
2 Cu 0.0000 0.0000 0.4708 [2 per cell]  3 S 2.27
3 Ge 0.3333 0.6667 0.5818 [2 per cell]  4 S 2.20-2.25
4 S 0.0901 0.2518 0.4828 [6 per cell]  1 Cu 2.27
5 S 0.1049 0.5838 0.7349 [6 per cell]  1 Ge 2.25
6 S 0.3333 0.6667 0.2081 [2 per cell]  1 Ge 2.20



No. 8
Be2V | PBE | relaxed

- ΔE_f: -218 meV/atom

a b c (Å): 4.3671 4.3671 7.0459
angles (deg): 90.00 90.00 120.00
Closest atoms and distances in Å follow each position.
Space group P6_3/mmc (No. 194)
One atom of each set of equivalent atoms:
1 Be 0.0000 0.0000 0.0000 [2 per cell]  6 Be 2.19
2 Be 0.1713 0.3425 0.2500 [6 per cell]  6 Be 2.12-2.24
3 V 0.3333 0.6667 0.5677 [4 per cell]  12 Be 2.53-2.57, 4 V 2.57-2.70



No. 9
RbMg14Cr | PBE | relaxed

- ΔE_f: 221 meV/atom
- M_tot: 3.639 μB/f.u.

a b c (Å): 6.4945 6.4945 10.7082
angles (deg): 90.00 90.00 120.00
Closest atoms and distances in Å follow each position.
Space group P-6m2 (No. 187)
One atom of each set of equivalent atoms:
1 Rb 0.0000 0.0000 0.0000 [1 per cell]  12 Mg 3.25-3.48
2 Mg 0.0061 0.5031 0.0000 [3 per cell]  10 Mg 3.19-3.45, 2 Rb 3.25
3 Mg 0.1695 0.3389 0.2719 [6 per cell]  10 Mg 3.08-3.45, 1 Cr 3.10
4 Mg 0.5021 0.0042 0.5000 [3 per cell]  10 Mg 3.08-3.31, 2 Cr 3.25
5 Mg 0.6667 0.3333 0.2443 [2 per cell]  12 Mg 3.24-3.31
6 Cr 0.0000 0.0000 0.5000 [1 per cell]  12 Mg 3.10-3.25



No. 10
BaI2 | PBE | relaxed

- ΔE_f: -2051 meV/atom

a b c (Å): 9.0237 5.4193 10.8434
angles (deg): 90.00 90.00 90.00
Closest atoms and distances in Å follow each position.
Space group Pnma (No. 62)
One atom of each set of equivalent atoms:
1 Ba 0.2454 0.2500 0.1144 [4 per cell]  7 I 3.52-3.67
2 I 0.0229 0.2500 0.8355 [4 per cell]  3 Ba 3.63-3.67
3 I 0.1418 0.2500 0.4273 [4 per cell]  4 Ba 3.52-3.61



No. 11
Mn3Ge | PBE | relaxed

- ΔE_f: -53 meV/atom
- M_tot: 4.888 μB/f.u.

a b c (Å): 5.1778 5.1778 4.1784
angles (deg): 90.00 90.00 120.00
Closest atoms and distances in Å follow each position.
Space group P6_3/mmc (No. 194)
One atom of each set of equivalent atoms:
1 Mn 0.1613 0.3227 0.2500 [6 per cell]  8 Mn 2.51-2.67, 4 Ge 2.59-2.60
2 Ge 0.3333 0.6667 0.7500 [2 per cell]  12 Mn 2.59-2.60



Calculated total DFT energy (no corrections), -7.27, -4.58, -6.04, -5.11, -7.21, -6.69, -5.80, -5.74, -1.84, -3.45, -8.08 eV per atom (same order as the records).
Calculated ρ, 3.757, 4.794, 7.583, 9.377, 12.431, 3.371, 4.835, 3.936, 2.028, 4.899, 8.129 Mg/m³ (same order as the records).